# 1
# Y6Zn23

A relaxed Y6Zn23 crystal (meta-GGA r2SCAN, Materials Project).

The structure in POSCAR format:
```
Y6Zn23
1.0
0.000 6.287 6.287
6.287 0.000 6.287
6.287 6.287 0.000
Y Zn
6 23
Direct
0.708 0.708 0.292 Y
0.292 0.708 0.292 Y
0.708 0.292 0.292 Y
0.292 0.292 0.708 Y
0.708 0.292 0.708 Y
0.292 0.708 0.708 Y
0.000 0.000 0.000 Zn
0.000 0.000 0.500 Zn
0.500 0.000 0.500 Zn
0.000 0.500 0.500 Zn
0.500 0.500 0.000 Zn
0.000 0.500 0.000 Zn
0.500 0.000 0.000 Zn
0.876 0.876 0.371 Zn
0.876 0.371 0.876 Zn
0.371 0.876 0.876 Zn
0.876 0.876 0.876 Zn
0.124 0.124 0.629 Zn
0.124 0.629 0.124 Zn
0.629 0.124 0.124 Zn
0.124 0.124 0.124 Zn
0.672 0.672 0.983 Zn
0.672 0.983 0.672 Zn
0.983 0.672 0.672 Zn
0.672 0.672 0.672 Zn
0.328 0.328 0.017 Zn
0.328 0.017 0.328 Zn
0.017 0.328 0.328 Zn
0.328 0.328 0.328 Zn
```

## Properties
ΔH_f (0 K), eV/atom: -0.350
VASP energy, eV/atom: -11.6201
Space-group type: Fm-3m (225)

# 2
# Na2LiCl3

A relaxed Na2LiCl3 crystal (meta-GGA r2SCAN, Materials Project).

The structure in POSCAR format:
```
Na2LiCl3
1.0
3.877 0.000 0.000
0.000 3.877 0.000
0.000 0.000 16.219
Na Li Cl
4 2 6
Direct
0.000 0.000 0.334 Na
0.500 0.500 0.166 Na
0.500 0.500 0.834 Na
0.000 0.000 0.666 Na
0.000 0.000 0.000 Li
0.500 0.500 0.500 Li
0.500 0.500 0.339 Cl
0.000 0.000 0.161 Cl
0.500 0.500 0.000 Cl
0.000 0.000 0.839 Cl
0.500 0.500 0.661 Cl
0.000 0.000 0.500 Cl
```

## Properties
ΔH_f (0 K), eV/atom: -2.010
VASP energy, eV/atom: -6.6717
Energy above the lowest structure with this stoichiometry, meV/atom: 0

# 3
# YbCu4Ni

A relaxed YbCu4Ni crystal (meta-GGA r2SCAN, Materials Project).

The structure in POSCAR format:
```
YbCu4Ni
1.0
-2.786 -1.885 3.489
0.291 1.713 4.525
-3.654 2.593 1.849
Yb Cu Ni
1 4 1
Direct
0.000 0.000 0.000 Yb
0.624 0.624 0.128 Cu
0.624 0.128 0.624 Cu
0.128 0.624 0.624 Cu
0.624 0.624 0.624 Cu
0.250 0.250 0.250 Ni
```

## Properties
ΔH_f (0 K), eV/atom: -0.181
VASP energy, eV/atom: -15.4974
Space-group type: F-43m (216)

# 4
# Er2Sc3Si4

A relaxed Er2Sc3Si4 crystal (meta-GGA r2SCAN, Materials Project).

The structure in POSCAR format:
```
Er2Sc3Si4
1.0
7.049 0.000 0.000
0.000 7.363 0.000
0.000 0.000 13.909
Er Sc Si
8 12 16
Direct
0.012 0.177 0.097 Er
0.988 0.823 0.903 Er
0.488 0.677 0.903 Er
0.988 0.823 0.597 Er
0.512 0.323 0.097 Er
0.012 0.177 0.403 Er
0.512 0.323 0.403 Er
0.488 0.677 0.597 Er
0.163 0.504 0.750 Sc
0.837 0.496 0.250 Sc
0.337 0.004 0.250 Sc
0.663 0.996 0.750 Sc
0.330 0.177 0.626 Sc
0.670 0.823 0.374 Sc
0.170 0.677 0.374 Sc
0.670 0.823 0.126 Sc
0.830 0.323 0.626 Sc
0.330 0.177 0.874 Sc
0.830 0.323 0.874 Sc
0.170 0.677 0.126 Sc
0.033 0.113 0.750 Si
0.967 0.887 0.250 Si
0.467 0.613 0.250 Si
0.533 0.387 0.750 Si
0.285 0.871 0.750 Si
0.715 0.129 0.250 Si
0.215 0.371 0.250 Si
0.785 0.629 0.750 Si
0.159 0.466 0.539 Si
0.841 0.534 0.461 Si
0.341 0.966 0.461 Si
0.841 0.534 0.039 Si
0.659 0.034 0.539 Si
0.159 0.466 0.961 Si
0.659 0.034 0.961 Si
0.341 0.966 0.039 Si
```

## Properties
ΔH_f (0 K), eV/atom: -0.873
VASP energy, eV/atom: -16.1110
Space-group type: Pnma (62)

# 5
# Lu5SbPd2

A relaxed Lu5SbPd2 crystal (meta-GGA r2SCAN, Materials Project).

The structure in POSCAR format:
```
Lu5SbPd2
1.0
-4.453 6.069 0.230
-4.650 -3.590 4.713
8.016 1.105 2.734
Lu Sb Pd
10 2 4
Direct
0.202 0.012 0.714 Lu
0.012 0.512 0.714 Lu
0.702 0.202 0.714 Lu
0.988 0.488 0.286 Lu
0.512 0.702 0.714 Lu
0.798 0.988 0.286 Lu
0.488 0.298 0.286 Lu
0.298 0.798 0.286 Lu
0.500 0.500 0.000 Lu
0.000 0.000 0.000 Lu
0.250 0.250 0.500 Sb
0.750 0.750 0.500 Sb
0.363 0.863 0.000 Pd
0.137 0.363 0.000 Pd
0.637 0.137 0.000 Pd
0.863 0.637 0.000 Pd
```

## Properties
ΔH_f (0 K), eV/atom: -0.861
VASP energy, eV/atom: -33.6138
Space-group type: I4/mcm (140)

# 6
# CaVF5

A relaxed CaVF5 crystal (meta-GGA r2SCAN, Materials Project).

The structure in POSCAR format:
```
CaVF5
1.0
10.135 0.000 0.000
0.000 5.458 0.005
0.000 2.613 7.175
Ca V F
4 4 20
Direct
0.021 0.535 0.743 Ca
0.521 0.465 0.757 Ca
0.979 0.465 0.257 Ca
0.479 0.535 0.243 Ca
0.753 0.112 0.599 V
0.253 0.888 0.901 V
0.247 0.888 0.401 V
0.747 0.112 0.099 V
0.878 0.401 0.556 F
0.378 0.599 0.944 F
0.122 0.599 0.444 F
0.622 0.401 0.056 F
0.614 0.365 0.500 F
0.114 0.635 0.000 F
0.386 0.635 0.500 F
0.886 0.365 0.000 F
0.396 0.113 0.804 F
0.896 0.887 0.696 F
0.604 0.887 0.196 F
0.104 0.113 0.304 F
0.137 0.169 0.865 F
0.637 0.831 0.635 F
0.863 0.831 0.135 F
0.363 0.169 0.365 F
0.693 0.144 0.840 F
0.193 0.856 0.660 F
0.307 0.856 0.160 F
0.807 0.144 0.340 F
```

## Properties
ΔH_f (0 K), eV/atom: -3.655
VASP energy, eV/atom: -8.9063
Space-group type: P2_1/c (14)
Energy above the lowest structure with this stoichiometry, meV/atom: 2

# 7
# LaMg

A relaxed LaMg crystal (meta-GGA r2SCAN, Materials Project).

The structure in POSCAR format:
```
LaMg
1.0
-5.160 3.057 6.139
1.603 -4.058 -7.391
0.402 -4.899 2.777
La Mg
3 3
Direct
0.974 0.026 0.000 La
0.637 0.363 0.000 La
0.806 0.194 0.500 La
0.305 0.695 0.000 Mg
0.128 0.872 0.500 Mg
0.484 0.516 0.500 Mg
```

## Properties
ΔH_f (0 K), eV/atom: -0.081
VASP energy, eV/atom: -17.0384
Space-group type: Amm2 (38)
Energy above the lowest structure with this stoichiometry, meV/atom: 33

# 8
# UMn2Ge2

A relaxed UMn2Ge2 crystal (meta-GGA r2SCAN, Materials Project).

The structure in POSCAR format:
```
UMn2Ge2
1.0
2.513 -3.583 4.319
-3.164 -4.336 2.998
1.065 1.997 -5.716
U Mn Ge
1 2 2
Direct
0.000 0.000 0.000 U
0.750 0.250 0.500 Mn
0.250 0.750 0.500 Mn
0.615 0.615 0.000 Ge
0.385 0.385 0.000 Ge
```

## Properties
ΔH_f (0 K), eV/atom: -0.421
VASP energy, eV/atom: -27.8314
Space-group type: I4/mmm (139)

# 9
# MgCrF6

A relaxed MgCrF6 crystal (meta-GGA r2SCAN, Materials Project).

The structure in POSCAR format:
```
MgCrF6
1.0
-4.381 -2.750 0.953
-1.324 -4.347 -2.647
0.005 -4.806 2.136
Mg Cr F
1 1 6
Direct
0.500 0.500 0.500 Mg
0.000 0.000 0.000 Cr
0.355 0.123 0.763 F
0.123 0.763 0.355 F
0.237 0.645 0.877 F
0.877 0.237 0.645 F
0.645 0.877 0.237 F
0.763 0.355 0.123 F
```

## Properties
ΔH_f (0 K), eV/atom: -3.127
VASP energy, eV/atom: -7.8772
Space-group type: R-3 (148)

# 10
# Zr3O

A relaxed Zr3O crystal (meta-GGA r2SCAN, Materials Project).

The structure in POSCAR format:
```
Zr3O
1.0
5.650 0.000 0.000
-2.825 4.893 0.000
0.000 0.000 5.194
Zr O
6 2
Direct
0.000 0.661 0.500 Zr
0.000 0.339 0.000 Zr
0.661 0.661 0.000 Zr
0.661 0.000 0.500 Zr
0.339 0.339 0.500 Zr
0.339 0.000 0.000 Zr
0.667 0.333 0.750 O
0.333 0.667 0.250 O
```

## Properties
ΔH_f (0 K), eV/atom: -1.535
VASP energy, eV/atom: -20.0905
Space-group type: P6_322 (182)

# 11
# CsCu2F6

A relaxed CsCu2F6 crystal (meta-GGA r2SCAN, Materials Project).

The structure in POSCAR format:
```
CsCu2F6
1.0
0.001 5.008 5.143
5.143 0.000 5.143
5.143 5.008 0.001
Cs Cu F
2 4 12
Direct
0.250 0.250 0.250 Cs
0.000 0.000 0.000 Cs
0.125 0.625 0.625 Cu
0.625 0.625 0.125 Cu
0.625 0.125 0.625 Cu
0.625 0.625 0.625 Cu
0.940 0.560 0.560 F
0.310 0.310 0.690 F
0.690 0.690 0.310 F
0.560 0.940 0.940 F
0.310 0.690 0.690 F
0.940 0.940 0.560 F
0.553 0.947 0.553 F
0.697 0.303 0.697 F
0.303 0.697 0.303 F
0.947 0.553 0.947 F
0.690 0.310 0.310 F
0.560 0.560 0.940 F
```

## Properties
ΔH_f (0 K), eV/atom: -2.124
VASP energy, eV/atom: -9.4084
Space-group type: I4_1/amd (141)

# 12
# CoCl2

A relaxed CoCl2 crystal (meta-GGA r2SCAN, Materials Project).

The structure in POSCAR format:
```
CoCl2
1.0
-1.451 0.027 -3.230
3.500 -0.387 0.365
-1.877 -16.315 0.709
Co Cl
1 2
Direct
0.000 0.000 0.075 Co
0.667 0.333 0.994 Cl
0.333 0.667 0.155 Cl
```

## Properties
ΔH_f (0 K), eV/atom: -0.931
VASP energy, eV/atom: -9.4442
Space-group type: P-3m1 (164)

# 13
# LiCuO2

A relaxed LiCuO2 crystal (meta-GGA r2SCAN, Materials Project).

The structure in POSCAR format:
```
LiCuO2
1.0
-0.907 -1.084 2.297
-2.167 -2.268 -0.343
2.942 -3.929 0.891
Li Cu O
1 1 2
Direct
0.000 0.500 0.500 Li
0.000 0.000 0.000 Cu
0.575 0.102 0.748 O
0.425 0.898 0.252 O
```

## Properties
ΔH_f (0 K), eV/atom: -1.288
VASP energy, eV/atom: -7.5823
Space-group type: C2/m (12)

# 14
# FeP

A relaxed FeP crystal (meta-GGA r2SCAN, Materials Project).

The structure in POSCAR format:
```
FeP
1.0
3.049 0.000 0.000
0.000 5.153 0.000
0.000 0.000 5.766
Fe P
4 4
Direct
0.250 0.501 0.298 Fe
0.750 0.499 0.702 Fe
0.250 0.001 0.202 Fe
0.750 0.999 0.798 Fe
0.250 0.691 0.933 P
0.750 0.309 0.067 P
0.250 0.191 0.567 P
0.750 0.809 0.433 P
```

## Properties
ΔH_f (0 K), eV/atom: -0.396
VASP energy, eV/atom: -12.1040
Space-group type: Pnma (62)

# 15
# TmGe2

A relaxed TmGe2 crystal (meta-GGA r2SCAN, Materials Project).

The structure in POSCAR format:
```
TmGe2
1.0
3.858 0.000 0.000
0.000 3.824 -0.972
0.000 0.071 8.287
Tm Ge
2 4
Direct
0.250 0.894 0.788 Tm
0.750 0.106 0.212 Tm
0.250 0.550 0.100 Ge
0.750 0.450 0.900 Ge
0.750 0.745 0.490 Ge
0.250 0.255 0.510 Ge
```

## Properties
ΔH_f (0 K), eV/atom: -0.640
VASP energy, eV/atom: -21.5949
Space-group type: Cmcm (63)

# 16
# Al2SiO5

A relaxed Al2SiO5 crystal (meta-GGA r2SCAN, Materials Project).

The structure in POSCAR format:
```
Al2SiO5
1.0
5.767 0.000 0.000
0.000 7.492 0.000
0.000 0.000 7.663
Al Si O
8 4 20
Direct
0.000 0.000 0.000 Al
0.500 0.000 0.000 Al
0.000 0.500 0.500 Al
0.500 0.500 0.500 Al
0.250 0.358 0.844 Al
0.750 0.642 0.156 Al
0.750 0.858 0.656 Al
0.250 0.142 0.344 Al
0.750 0.154 0.340 Si
0.250 0.846 0.660 Si
0.250 0.654 0.160 Si
0.750 0.346 0.840 Si
0.014 0.626 0.278 O
0.514 0.374 0.722 O
0.986 0.126 0.222 O
0.486 0.874 0.778 O
0.986 0.374 0.722 O
0.486 0.626 0.278 O
0.014 0.874 0.778 O
0.514 0.126 0.222 O
0.750 0.023 0.502 O
0.250 0.977 0.498 O
0.250 0.523 0.998 O
0.750 0.477 0.002 O
0.750 0.360 0.409 O
0.250 0.640 0.591 O
0.250 0.860 0.091 O
0.750 0.140 0.909 O
0.250 0.357 0.433 O
0.750 0.643 0.567 O
0.750 0.857 0.067 O
0.250 0.143 0.933 O
```

## Properties
ΔH_f (0 K), eV/atom: -3.237
VASP energy, eV/atom: -9.7492
Space-group type: Pnma (62)
Energy above the lowest structure with this stoichiometry, meV/atom: 5

# 17
# PrAlPd

A relaxed PrAlPd crystal (meta-GGA r2SCAN, Materials Project).

The structure in POSCAR format:
```
PrAlPd
1.0
3.634 -6.295 0.000
3.634 6.295 0.000
0.000 0.000 4.226
Pr Al Pd
3 3 3
Direct
0.419 0.419 0.500 Pr
0.581 0.000 0.500 Pr
0.000 0.581 0.500 Pr
0.774 0.774 0.000 Al
0.226 0.000 0.000 Al
0.000 0.226 0.000 Al
0.667 0.333 0.000 Pd
0.333 0.667 0.000 Pd
0.000 0.000 0.500 Pd
```

## Properties
ΔH_f (0 K), eV/atom: -0.813
VASP energy, eV/atom: -20.5114
Space-group type: P-62m (189)

# 18
# W

A relaxed W crystal (meta-GGA r2SCAN, Materials Project).

The structure in POSCAR format:
```
W
1.0
-0.242 -2.495 1.121
2.658 0.597 -0.339
-1.153 1.863 1.655
W
1
Direct
0.000 0.000 0.000 W
```

## Properties
ΔH_f (0 K), eV/atom: 0.000
VASP energy, eV/atom: -51.3678
Space-group type: Im-3m (229)
Energy above the lowest structure with this stoichiometry, meV/atom: 0

# 19
# YAlPd

A relaxed YAlPd crystal (meta-GGA r2SCAN, Materials Project).

The structure in POSCAR format:
```
YAlPd
1.0
-2.054 3.771 -1.192
6.043 3.426 0.429
1.411 -1.564 -7.377
Y Al Pd
4 4 4
Direct
0.750 0.472 0.183 Y
0.750 0.972 0.317 Y
0.250 0.528 0.817 Y
0.250 0.028 0.683 Y
0.750 0.351 0.566 Al
0.750 0.851 0.934 Al
0.250 0.649 0.434 Al
0.250 0.149 0.066 Al
0.750 0.222 0.886 Pd
0.750 0.722 0.614 Pd
0.250 0.778 0.114 Pd
0.250 0.278 0.386 Pd
```

## Properties
ΔH_f (0 K), eV/atom: -0.921
VASP energy, eV/atom: -17.5899
Space-group type: Pnma (62)